Here is a relaxed BaHfMo crystal from Materials Project. Energies are from PBE.

Cell and atoms, written as POSCAR:
```
BaHfMo
1.0
0.0000 3.4492 3.4492
3.4492 0.0000 3.4492
3.4492 3.4492 0.0000
Ba Hf Mo
1 1 1
Direct
0.7500 0.7500 0.7500
0.2500 0.2500 0.2500
0.5000 0.5000 0.5000
```

Results
Its formation enthalpy at 0 K is 3.6 eV/f.u. Its space group is F-43m.